Entry 1:
Below is an optimized crystal structure of Fe2BO4, with properties calculated at the PBE+U level.

* magnetic moment: 72.0 μB per cell
* offset from the most stable computed form: 0 meV per atom

abc: 6.348 9.474 9.372
angles: 90.00 90.51 90.00
Fractional coordinates of all 56 atoms:
1 Fe 0.000 0.055 0.000
2 Fe 0.000 0.319 0.484
3 Fe 0.000 0.681 0.984
4 Fe 0.000 0.945 0.500
5 Fe 0.250 0.444 0.213
6 Fe 0.250 0.556 0.713
7 Fe 0.251 0.187 0.715
8 Fe 0.251 0.813 0.215
9 Fe 0.498 0.316 0.485
10 Fe 0.498 0.684 0.985
11 Fe 0.499 0.059 0.999
12 Fe 0.499 0.941 0.499
13 Fe 0.749 0.185 0.719
14 Fe 0.749 0.815 0.219
15 Fe 0.750 0.444 0.207
16 Fe 0.750 0.556 0.707
17 B 0.241 0.126 0.268
18 B 0.241 0.874 0.768
19 B 0.506 0.376 0.938
20 B 0.506 0.624 0.438
21 B 0.762 0.127 0.267
22 B 0.762 0.873 0.767
23 B 0.994 0.376 0.940
24 B 0.994 0.624 0.440
25 O 0.233 0.002 0.847
26 O 0.233 0.998 0.347
27 O 0.234 0.116 0.122
28 O 0.234 0.884 0.622
29 O 0.247 0.367 0.621
30 O 0.247 0.633 0.121
31 O 0.254 0.255 0.334
32 O 0.254 0.745 0.834
33 O 0.500 0.130 0.603
34 O 0.500 0.870 0.103
35 O 0.501 0.245 0.868
36 O 0.501 0.755 0.368
37 O 0.510 0.380 0.084
38 O 0.510 0.620 0.584
39 O 0.511 0.499 0.359
40 O 0.511 0.501 0.859
41 O 0.748 0.367 0.625
42 O 0.748 0.633 0.125
43 O 0.754 0.257 0.333
44 O 0.754 0.743 0.833
45 O 0.765 0.001 0.347
46 O 0.765 0.999 0.847
47 O 0.767 0.117 0.121
48 O 0.767 0.883 0.621
49 O 0.988 0.382 0.085
50 O 0.988 0.618 0.585
51 O 0.991 0.499 0.859
52 O 0.991 0.501 0.359
53 O 0.998 0.131 0.597
54 O 0.998 0.869 0.097
55 O 0.999 0.243 0.872
56 O 0.999 0.757 0.372

---

Entry 2:
Below is an optimized crystal structure of Fe3BO5, with properties calculated at the PBE+U level.

* offset from the most stable computed form: 1 meV per atom

abc: 5.588 3.104 10.797
angles: 90.00 93.35 90.00
Fractional coordinates of all 18 atoms:
1 Fe 0.000 0.000 0.000
2 Fe 0.000 0.000 0.500
3 Fe 0.220 0.500 0.273
4 Fe 0.500 0.000 0.500
5 Fe 0.500 0.500 0.000
6 Fe 0.780 0.500 0.727
7 B 0.285 0.000 0.758
8 B 0.715 0.000 0.242
9 O 0.064 0.000 0.692
10 O 0.179 0.500 0.088
11 O 0.233 0.500 0.468
12 O 0.295 0.000 0.887
13 O 0.496 0.000 0.697
14 O 0.504 0.000 0.303
15 O 0.705 0.000 0.113
16 O 0.767 0.500 0.532
17 O 0.821 0.500 0.912
18 O 0.936 0.000 0.308

---

Entry 3:
Below is an optimized crystal structure of FeB6O6, with properties calculated at the PBE+U level.

* magnetic moment: 4.0 μB per cell
* offset from the most stable computed form: 0 meV per atom

abc: 4.940 4.940 7.434
angles: 111.77 111.77 68.56
Fractional coordinates of all 13 atoms:
1 Fe 0.000 0.000 0.000
2 B 0.009 0.345 0.899
3 B 0.345 0.009 0.899
4 B 0.424 0.424 0.771
5 B 0.576 0.576 0.229
6 B 0.655 0.991 0.101
7 B 0.991 0.655 0.101
8 O 0.255 0.255 0.788
9 O 0.276 0.716 0.766
10 O 0.284 0.724 0.234
11 O 0.716 0.276 0.766
12 O 0.724 0.284 0.234
13 O 0.745 0.745 0.212

---

Entry 4:
Below is an optimized crystal structure of Fe2BP3O12, with properties calculated at the PBE+U level.

* magnetic moment: 20.0 μB per cell

abc: 8.127 8.127 7.513
angles: 90.00 90.00 120.00
Fractional coordinates of all 36 atoms:
1 Fe 0.333 0.667 0.048
2 Fe 0.333 0.667 0.452
3 Fe 0.667 0.333 0.548
4 Fe 0.667 0.333 0.952
5 B 0.000 0.000 0.250
6 B 0.000 0.000 0.750
7 P 0.045 0.685 0.750
8 P 0.315 0.360 0.750
9 P 0.360 0.045 0.250
10 P 0.640 0.955 0.750
11 P 0.685 0.640 0.250
12 P 0.955 0.315 0.250
13 O 0.056 0.189 0.250
14 O 0.126 0.521 0.250
15 O 0.133 0.944 0.250
16 O 0.162 0.728 0.580
17 O 0.162 0.728 0.920
18 O 0.189 0.133 0.750
19 O 0.272 0.434 0.580
20 O 0.272 0.434 0.920
21 O 0.395 0.874 0.250
22 O 0.434 0.162 0.080
23 O 0.434 0.162 0.420
24 O 0.479 0.605 0.250
25 O 0.521 0.395 0.750
26 O 0.566 0.838 0.580
27 O 0.566 0.838 0.920
28 O 0.605 0.126 0.750
29 O 0.728 0.566 0.080
30 O 0.728 0.566 0.420
31 O 0.811 0.867 0.250
32 O 0.838 0.272 0.080
33 O 0.838 0.272 0.420
34 O 0.867 0.056 0.750
35 O 0.874 0.479 0.750
36 O 0.944 0.811 0.750

---

Entry 5:
Below is an optimized crystal structure of FeBPbO4, with properties calculated at the PBE+U level.

abc: 7.098 6.032 8.565
angles: 90.00 90.00 90.00
Fractional coordinates of all 28 atoms:
1 Fe 0.000 0.000 0.000
2 Fe 0.000 0.500 0.000
3 Fe 0.500 0.000 0.500
4 Fe 0.500 0.500 0.500
5 B 0.220 0.250 0.266
6 B 0.280 0.750 0.766
7 B 0.720 0.250 0.234
8 B 0.780 0.750 0.734
9 Pb 0.061 0.750 0.353
10 Pb 0.439 0.250 0.853
11 Pb 0.561 0.750 0.147
12 Pb 0.939 0.250 0.647
13 O 0.106 0.250 0.885
14 O 0.170 0.051 0.195
15 O 0.170 0.449 0.195
16 O 0.186 0.750 0.908
17 O 0.314 0.250 0.408
18 O 0.330 0.551 0.695
19 O 0.330 0.949 0.695
20 O 0.394 0.750 0.385
21 O 0.606 0.250 0.615
22 O 0.670 0.051 0.305
23 O 0.670 0.449 0.305
24 O 0.686 0.750 0.592
25 O 0.814 0.250 0.092
26 O 0.830 0.551 0.805
27 O 0.830 0.949 0.805
28 O 0.894 0.750 0.115

---

Entry 6:
Below is an optimized crystal structure of SmFe3B4O12, with properties calculated at the PBE+U level.

* magnetic moment: 15.0 μB per cell

abc: 6.323 6.323 6.323
angles: 108.66 108.66 108.66
Fractional coordinates of all 20 atoms:
1 Sm 0.000 0.000 0.000
2 Fe 0.000 0.580 0.420
3 Fe 0.420 0.000 0.580
4 Fe 0.580 0.420 0.000
5 B 0.000 0.318 0.682
6 B 0.318 0.682 0.000
7 B 0.500 0.500 0.500
8 B 0.682 0.000 0.318
9 O 0.082 0.611 0.779
10 O 0.083 0.917 0.500
11 O 0.221 0.389 0.918
12 O 0.365 0.635 0.500
13 O 0.389 0.918 0.221
14 O 0.500 0.083 0.917
15 O 0.500 0.365 0.635
16 O 0.611 0.779 0.082
17 O 0.635 0.500 0.365
18 O 0.779 0.082 0.611
19 O 0.917 0.500 0.083
20 O 0.918 0.221 0.389

---

Entry 7:
Below is an optimized crystal structure of VFe2BO5, with properties calculated at the PBE+U level.

* magnetic moment: 40.0 μB per cell

abc: 9.649 12.503 3.107
angles: 90.00 90.00 90.00
Fractional coordinates of all 36 atoms:
1 V 0.245 0.113 0.000
2 V 0.255 0.613 0.000
3 V 0.745 0.387 0.000
4 V 0.755 0.887 0.000
5 Fe 0.000 0.000 0.500
6 Fe 0.000 0.500 0.000
7 Fe 0.001 0.276 0.500
8 Fe 0.499 0.776 0.500
9 Fe 0.500 0.000 0.000
10 Fe 0.500 0.500 0.500
11 Fe 0.501 0.224 0.500
12 Fe 0.999 0.724 0.500
13 B 0.230 0.862 0.000
14 B 0.270 0.362 0.000
15 B 0.730 0.638 0.000
16 B 0.770 0.138 0.000
17 O 0.113 0.140 0.500
18 O 0.117 0.583 0.500
19 O 0.126 0.361 0.000
20 O 0.156 0.957 0.000
21 O 0.158 0.765 0.000
22 O 0.342 0.265 0.000
23 O 0.344 0.457 0.000
24 O 0.374 0.861 0.000
25 O 0.383 0.083 0.500
26 O 0.387 0.640 0.500
27 O 0.613 0.360 0.500
28 O 0.617 0.917 0.500
29 O 0.626 0.139 0.000
30 O 0.656 0.543 0.000
31 O 0.658 0.735 0.000
32 O 0.842 0.235 0.000
33 O 0.844 0.043 0.000
34 O 0.874 0.639 0.000
35 O 0.883 0.417 0.500
36 O 0.887 0.860 0.500

---

Entry 8:
Below is an optimized crystal structure of YFe3B4O12, with properties calculated at the PBE+U level.

* magnetic moment: 15.0 μB per cell

abc: 6.124 6.124 6.124
angles: 103.92 103.92 103.92
Fractional coordinates of all 20 atoms:
1 Y 0.000 0.000 0.000
2 Fe 0.000 0.547 0.453
3 Fe 0.453 0.000 0.547
4 Fe 0.547 0.453 0.000
5 B 0.048 0.500 0.952
6 B 0.500 0.500 0.500
7 B 0.500 0.952 0.048
8 B 0.952 0.048 0.500
9 O 0.025 0.631 0.798
10 O 0.095 0.905 0.500
11 O 0.202 0.369 0.975
12 O 0.357 0.643 0.500
13 O 0.369 0.975 0.202
14 O 0.500 0.095 0.905
15 O 0.500 0.357 0.643
16 O 0.631 0.798 0.025
17 O 0.643 0.500 0.357
18 O 0.798 0.025 0.631
19 O 0.905 0.500 0.095
20 O 0.975 0.202 0.369

---

Entry 9:
Below is an optimized crystal structure of YFe3B4O12, with properties calculated at the PBE+U level.

* magnetic moment: 45.0 μB per cell

abc: 9.616 9.616 7.657
angles: 90.00 90.00 120.00
Fractional coordinates of all 60 atoms:
1 Y 0.000 0.664 0.167
2 Y 0.336 0.336 0.500
3 Y 0.664 0.000 0.833
4 Fe 0.000 0.115 0.167
5 Fe 0.115 0.000 0.833
6 Fe 0.212 0.549 0.845
7 Fe 0.337 0.788 0.512
8 Fe 0.451 0.663 0.178
9 Fe 0.549 0.212 0.155
10 Fe 0.663 0.451 0.822
11 Fe 0.788 0.337 0.488
12 Fe 0.885 0.885 0.500
13 B 0.000 0.222 0.667
14 B 0.000 0.668 0.667
15 B 0.126 0.449 0.350
16 B 0.222 0.000 0.333
17 B 0.323 0.874 0.016
18 B 0.332 0.332 0.000
19 B 0.449 0.126 0.650
20 B 0.551 0.677 0.683
21 B 0.668 0.000 0.333
22 B 0.677 0.551 0.317
23 B 0.778 0.778 0.000
24 B 0.874 0.323 0.984
25 O 0.000 0.078 0.667
26 O 0.000 0.811 0.667
27 O 0.007 0.474 0.981
28 O 0.078 0.000 0.333
29 O 0.123 0.305 0.323
30 O 0.145 0.670 0.676
31 O 0.147 0.361 0.686
32 O 0.182 0.877 0.990
33 O 0.189 0.189 0.000
34 O 0.214 0.853 0.353
35 O 0.278 0.581 0.375
36 O 0.303 0.722 0.042
37 O 0.305 0.123 0.677
38 O 0.330 0.475 0.009
39 O 0.361 0.147 0.314
40 O 0.419 0.697 0.709
41 O 0.467 0.993 0.647
42 O 0.474 0.007 0.019
43 O 0.475 0.330 0.991
44 O 0.525 0.855 0.343
45 O 0.526 0.533 0.314
46 O 0.533 0.526 0.686
47 O 0.581 0.278 0.625
48 O 0.639 0.786 0.020
49 O 0.670 0.145 0.324
50 O 0.695 0.818 0.656
51 O 0.697 0.419 0.291
52 O 0.722 0.303 0.958
53 O 0.786 0.639 0.980
54 O 0.811 0.000 0.333
55 O 0.818 0.695 0.344
56 O 0.853 0.214 0.647
57 O 0.855 0.525 0.657
58 O 0.877 0.182 0.010
59 O 0.922 0.922 0.000
60 O 0.993 0.467 0.353

---

Entry 10:
Below is an optimized crystal structure of ZnFeBO4, with properties calculated at the PBE+U level.

* magnetic moment: 20.0 μB per cell

abc: 3.135 9.389 9.370
angles: 90.00 90.00 90.00
Fractional coordinates of all 28 atoms:
1 Zn 0.000 0.052 0.000
2 Zn 0.000 0.312 0.516
3 Zn 0.000 0.688 0.016
4 Zn 0.000 0.948 0.500
5 Fe 0.500 0.183 0.275
6 Fe 0.500 0.443 0.797
7 Fe 0.500 0.557 0.297
8 Fe 0.500 0.817 0.775
9 B 0.000 0.372 0.070
10 B 0.000 0.628 0.570
11 B 0.500 0.127 0.742
12 B 0.500 0.873 0.242
13 O 0.000 0.135 0.393
14 O 0.000 0.242 0.137
15 O 0.000 0.383 0.922
16 O 0.000 0.500 0.148
17 O 0.000 0.500 0.648
18 O 0.000 0.617 0.422
19 O 0.000 0.758 0.637
20 O 0.000 0.865 0.893
21 O 0.500 0.001 0.165
22 O 0.500 0.129 0.887
23 O 0.500 0.259 0.670
24 O 0.500 0.366 0.372
25 O 0.500 0.634 0.872
26 O 0.500 0.741 0.170
27 O 0.500 0.871 0.387
28 O 0.500 0.999 0.665

---

no.,total energy after the MP2020 corrections (eV per atom)
1,-8.259
2,-8.279
3,-7.676
4,-7.990
5,-7.608
6,-7.898
7,-8.600
8,-8.472
9,-8.473
10,-7.255